First-principles (PBE) data for crystalline RbAg3S2 at its relaxed geometry, as listed in the Materials Project database.

Its energy of formation is -3.25 eV per formula unit. For the total magnetic moment, the calculation gives 0.000 μB per atom.

```
data_RbAg3S2
_chemical_formula_sum 'Rb4 Ag12 S8'
_space_group_name_H-M_alt 'C 1 2/m 1'
_space_group_IT_number 12
_cell_length_a 16.222
_cell_length_b 4.344
_cell_length_c 8.975
_cell_angle_alpha 90.00
_cell_angle_beta 114.74
_cell_angle_gamma 90.00
loop_
_space_group_symop_operation_xyz
'x,y,z'
'-x,-y,-z'
'-x,y,-z'
'x,-y,z'
'x+1/2,y+1/2,z'
'-x+1/2,-y+1/2,-z'
'-x+1/2,y+1/2,-z'
'x+1/2,-y+1/2,z'
loop_
_atom_site_label
_atom_site_fract_x
_atom_site_fract_y
_atom_site_fract_z
Rb1 0.135 0.000 0.045
Ag1 0.057 0.000 0.400
Ag2 0.098 0.500 0.654
Ag3 0.187 0.500 0.417
S1 0.017 0.500 0.225
S2 0.197 0.000 0.697
```